The following is a PBE calculation of MgSi after structural relaxation, from Materials Project.

a = 4.793 Å, b = 5.233 Å, c = 10.207 Å
α = 75.53°, β = 78.12°, γ = 76.43°
Fractional positions:
Si 0.524 0.534 0.999
Si 0.521 0.318 0.245
Si 0.941 0.653 0.818
Si 0.198 0.575 0.407
Si 0.083 0.851 0.987
Si 0.691 0.995 0.647
Mg 0.061 0.294 0.093
Mg 0.725 0.778 0.248
Mg 0.563 0.578 0.578
Mg 0.017 0.109 0.400
Mg 0.549 0.112 0.893
Mg 0.127 0.203 0.685

=====

The following is a PBE calculation of Eu5Pt4 after structural relaxation, from Materials Project.

a = 7.756 Å, b = 7.937 Å, c = 15.285 Å
α = 90.00°, β = 90.00°, γ = 90.00°
Fractional positions:
Pt 0.807 0.364 0.250
Pt 0.193 0.636 0.750
Pt 0.693 0.864 0.750
Pt 0.307 0.136 0.250
Pt 0.323 0.032 0.541
Pt 0.677 0.968 0.041
Pt 0.823 0.468 0.541
Pt 0.450 0.391 0.750
Pt 0.177 0.532 0.459
Pt 0.823 0.468 0.959
Pt 0.323 0.032 0.959
Pt 0.050 0.891 0.250
Pt 0.550 0.609 0.250
Pt 0.177 0.532 0.041
Pt 0.950 0.109 0.750
Pt 0.677 0.968 0.459
Eu 0.499 0.680 0.906
Eu 0.343 0.833 0.378
Eu 0.317 0.989 0.750
Eu 0.183 0.489 0.250
Eu 0.001 0.180 0.094
Eu 0.999 0.820 0.906
Eu 0.999 0.820 0.594
Eu 0.843 0.667 0.378
Eu 0.817 0.511 0.750
Eu 0.499 0.680 0.594
Eu 0.343 0.833 0.122
Eu 0.657 0.167 0.622
Eu 0.501 0.320 0.094
Eu 0.501 0.320 0.406
Eu 0.001 0.180 0.406
Eu 0.843 0.667 0.122
Eu 0.657 0.167 0.878
Eu 0.683 0.011 0.250
Eu 0.157 0.333 0.622
Eu 0.157 0.333 0.878

=====

Number 1: ΔH_f (0 K) 0.09 eV per atom, E -3.4549 eV per atom. Number 2: ΔH_f (0 K) -0.91 eV per atom, E -9.3109 eV per atom.